# U6Mn | Materials Project | PBE | optimized geometry
# Calculated volume, Å³ per atom: 19.4
# Energy of formation from the pure elements, meV per atom: 27
# Magnetization, Bohr magnetons per cell: 0.01
# Space-group type: No. 140
data_U6Mn
_chemical_formula_sum 'U12 Mn2'
_cell_length_a 7.637
_cell_length_b 7.637
_cell_length_c 7.637
_cell_angle_alpha 96.92
_cell_angle_beta 96.92
_cell_angle_gamma 139.38
_space_group_name_H-M_alt 'P 1'
_space_group_IT_number 1
loop_
_space_group_symop_operation_xyz
'x,y,z'
loop_
_atom_site_label
_atom_site_type_symbol
_atom_site_fract_x
_atom_site_fract_y
_atom_site_fract_z
_atom_site_occupancy
U1 U 0.093 0.593 0.686 1
U2 U 0.098 0.219 0.317 1
U3 U 0.219 0.902 0.121 1
U4 U 0.281 0.402 0.683 1
U5 U 0.402 0.719 0.121 1
U6 U 0.407 0.093 0.500 1
U7 U 0.593 0.907 0.500 1
U8 U 0.598 0.281 0.879 1
U9 U 0.719 0.598 0.317 1
U10 U 0.781 0.098 0.879 1
U11 U 0.902 0.781 0.683 1
U12 U 0.907 0.407 0.314 1
Mn1 Mn 0.250 0.250 0.000 1
Mn2 Mn 0.750 0.750 0.000 1